# 1
Na3Fe2P3O12: optimized geometry, PBE+U.

Output
The value obtained for the total moment is 10.00 μB/f.u. The mass density comes out at 3.05 Mg/m³. As for the formation energy: -2.42 eV/atom.

POSCAR file:
```
Na3Fe2P3O12
1.0
8.8061 0.0000 0.0000
0.0000 8.9817 0.0000
-8.7440 0.0000 12.8289
Na Fe P O
12 8 12 48
direct
0.0369 0.2127 0.3274
0.0369 0.2873 0.8274
0.3361 0.2030 0.2381
0.3361 0.2970 0.7381
0.3823 0.5663 0.3068
0.3823 0.9337 0.8068
0.6177 0.0663 0.1932
0.6177 0.4337 0.6932
0.6639 0.7030 0.2619
0.6639 0.7970 0.7619
0.9631 0.7127 0.1726
0.9631 0.7873 0.6726
0.1400 0.5391 0.3995
0.1400 0.9609 0.8995
0.3464 0.5260 0.0953
0.3464 0.9740 0.5953
0.6536 0.0260 0.4047
0.6536 0.4740 0.9047
0.8600 0.0391 0.1005
0.8600 0.4609 0.6005
0.0356 0.1038 0.6470
0.0356 0.3962 0.1470
0.2523 0.6179 0.6459
0.2523 0.8821 0.1459
0.4680 0.2495 0.9963
0.4680 0.2505 0.4963
0.5320 0.7495 0.5037
0.5320 0.7505 0.0037
0.7477 0.1179 0.8541
0.7477 0.3821 0.3541
0.9644 0.6038 0.8530
0.9644 0.8962 0.3530
0.0173 0.2302 0.1693
0.0173 0.2698 0.6693
0.0843 0.0078 0.7430
0.0843 0.4922 0.2430
0.0914 0.5826 0.6572
0.0914 0.9174 0.1572
0.1383 0.5424 0.9508
0.1383 0.9576 0.4508
0.1926 0.5753 0.5356
0.1926 0.9247 0.0356
0.2031 0.0947 0.6375
0.2031 0.4053 0.1375
0.2899 0.1543 0.9373
0.2899 0.3457 0.4373
0.3012 0.7122 0.1659
0.3012 0.7878 0.6659
0.3630 0.6491 0.4335
0.3630 0.8509 0.9335
0.4234 0.5243 0.7275
0.4234 0.9757 0.2275
0.4568 0.1434 0.5703
0.4568 0.3566 0.0703
0.4843 0.1682 0.4137
0.4843 0.3318 0.9137
0.5157 0.6682 0.0863
0.5157 0.8318 0.5863
0.5432 0.6434 0.9297
0.5432 0.8566 0.4297
0.5766 0.0243 0.7725
0.5766 0.4757 0.2725
0.6370 0.1491 0.0665
0.6370 0.3509 0.5665
0.6988 0.2122 0.3341
0.6988 0.2878 0.8341
0.7101 0.6543 0.5627
0.7101 0.8457 0.0627
0.7969 0.5947 0.8625
0.7969 0.9053 0.3625
0.8074 0.0753 0.9644
0.8074 0.4247 0.4644
0.8617 0.0424 0.5492
0.8617 0.4576 0.0492
0.9086 0.0826 0.8428
0.9086 0.4174 0.3428
0.9157 0.5078 0.7570
0.9157 0.9922 0.2570
0.9827 0.7302 0.3307
0.9827 0.7698 0.8307
```

# 2
NaFe3P3O13: optimized geometry, PBE+U.

Output
The value obtained for the total moment is 14.80 μB/f.u. The mass density comes out at 3.26 Mg/m³. As for the formation energy: -2.26 eV/atom.

POSCAR file:
```
NaFe3P3O13
1.0
7.6269 0.0000 0.0000
0.0000 6.3886 0.0000
-1.6948 0.0000 10.2636
Na Fe P O
2 6 6 26
direct
0.1600 0.2500 0.1889
0.8400 0.7500 0.8111
0.1417 0.2500 0.8036
0.2861 0.7500 0.4395
0.5000 0.0000 0.0000
0.5000 0.5000 0.0000
0.7139 0.2500 0.5605
0.8582 0.7500 0.1964
0.1890 0.7500 0.1149
0.2429 0.7500 0.7627
0.2817 0.2500 0.5152
0.7183 0.7500 0.4848
0.7571 0.2500 0.2373
0.8110 0.2500 0.8851
0.0037 0.2500 0.9600
0.1295 0.5590 0.7868
0.1295 0.9410 0.7868
0.1495 0.7500 0.2583
0.1497 0.2500 0.6124
0.2478 0.0571 0.4249
0.2478 0.4429 0.4249
0.2928 0.5499 0.0908
0.2928 0.9501 0.0908
0.2958 0.7500 0.6271
0.3784 0.2500 0.9080
0.4174 0.7500 0.8683
0.4744 0.2500 0.5909
0.5256 0.7500 0.4091
0.5826 0.2500 0.1317
0.6216 0.7500 0.0920
0.7042 0.2500 0.3729
0.7072 0.0499 0.9092
0.7072 0.4501 0.9092
0.7522 0.5571 0.5751
0.7522 0.9429 0.5751
0.8503 0.7500 0.3876
0.8505 0.2500 0.7417
0.8705 0.0590 0.2132
0.8705 0.4410 0.2132
0.9963 0.7500 0.0400
```

# 3
NaFe7P6O24: optimized geometry, PBE+U.

Output
The value obtained for the total moment is 31.00 μB/f.u. The mass density comes out at 3.76 Mg/m³. As for the formation energy: -2.33 eV/atom.

POSCAR file:
```
NaFe7P6O24
1.0
6.4825 0.0000 0.0000
-1.6056 7.9353 0.0000
-2.9691 -3.1704 8.4358
Na Fe P O
1 7 6 24
direct
0.0000 0.0000 0.0000
0.1077 0.5424 0.8901
0.2159 0.1884 0.7075
0.4601 0.2818 0.4739
0.5000 0.0000 0.0000
0.5399 0.7182 0.5261
0.7841 0.8116 0.2925
0.8923 0.4576 0.1099
0.0988 0.7679 0.6319
0.2737 0.8535 0.2354
0.4148 0.4108 0.1707
0.5852 0.5891 0.8293
0.7263 0.1465 0.7646
0.9012 0.2321 0.3681
0.0472 0.7379 0.2288
0.0490 0.6373 0.7150
0.1323 0.2355 0.4910
0.1986 0.4579 0.0862
0.2183 0.9624 0.7627
0.2514 0.7251 0.5407
0.2669 0.8094 0.0617
0.2891 0.0520 0.2962
0.3739 0.4650 0.8338
0.3866 0.2130 0.0893
0.4379 0.4534 0.3482
0.4809 0.8138 0.3424
0.5191 0.1862 0.6576
0.5621 0.5466 0.6518
0.6134 0.7870 0.9107
0.6261 0.5350 0.1662
0.7109 0.9480 0.7038
0.7331 0.1906 0.9383
0.7486 0.2749 0.4593
0.7817 0.0376 0.2373
0.8014 0.5421 0.9138
0.8677 0.7645 0.5090
0.9510 0.3627 0.2850
0.9528 0.2621 0.7712
```